## GdAlNi4 (PBE)

Data for a geometry-optimized GdAlNi4 structure.

Properties
Formation energy = -3.092 eV/f.u.
SG = No. 65
V = 85.7 Å³/f.u.
Crystal system = orthorhombic

a = 5.0480 Å, b = 8.4466 Å, c = 4.0212 Å
α = 90.00°, β = 90.00°, γ = 90.00°
Last column: nearest neighbours and their distance in Å.
Fractional positions:
Gd: 0.0000 0.0000 0.0000  6 Ni 2.81-2.89
Gd: 0.5000 0.5000 0.0000  6 Ni 2.81-2.89
Al: 0.0000 0.5000 0.5000  8 Ni 2.46
Al: 0.5000 0.0000 0.5000  8 Ni 2.46
Ni: 0.0000 0.3332 0.0000  2 Al 2.46, 4 Ni 2.48
Ni: 0.0000 0.6668 0.0000  2 Al 2.46, 4 Ni 2.48
Ni: 0.2500 0.2500 0.5000  2 Al 2.46, 6 Ni 2.48-2.52
Ni: 0.2500 0.7500 0.5000  2 Al 2.46, 6 Ni 2.48-2.52
Ni: 0.5000 0.1668 0.0000  2 Al 2.46, 4 Ni 2.48
Ni: 0.5000 0.8332 0.0000  2 Al 2.46, 4 Ni 2.48
Ni: 0.7500 0.2500 0.5000  2 Al 2.46, 6 Ni 2.48-2.52
Ni: 0.7500 0.7500 0.5000  2 Al 2.46, 6 Ni 2.48-2.52


## GdAlNi4 (PBE)

Data for a geometry-optimized GdAlNi4 structure.

Properties
Formation energy = -2.608 eV/f.u.
SG = No. 187
V = 81.9 Å³/f.u.
Spin magnetization = 7.0 μB per cell
Crystal system = hexagonal

a = 5.0001 Å, b = 5.0001 Å, c = 3.7810 Å
α = 90.00°, β = 90.00°, γ = 120.00°
Last column: nearest neighbours and their distance in Å.
Fractional positions:
Gd: 0.0000 0.0000 0.0000  15 Ni 2.89-3.13, 3 Al 2.89
Al: 0.6667 0.3333 0.0000  6 Ni 2.39
Ni: 0.0040 0.5020 0.5000  6 Ni 2.37-2.53, 2 Al 2.39
Ni: 0.3333 0.6667 0.0000  6 Ni 2.37
Ni: 0.4980 0.5020 0.5000  6 Ni 2.37-2.53, 2 Al 2.39
Ni: 0.4980 0.9960 0.5000  6 Ni 2.37-2.53, 2 Al 2.39


## GdAl3Ni2 (PBE)

Data for a geometry-optimized GdAl3Ni2 structure.

Properties
Formation energy = -3.867 eV/f.u.
SG = No. 191
V = 97.5 Å³/f.u.
Crystal system = hexagonal

a = 9.1029 Å, b = 9.1029 Å, c = 4.0760 Å
α = 90.00°, β = 90.00°, γ = 120.00°
Last column: nearest neighbours and their distance in Å.
Fractional positions:
Gd: 0.0000 0.0000 0.0000  6 Ni 2.84
Gd: 0.3333 0.6667 0.5000  6 Ni 3.16, 12 Al 3.19-3.33
Gd: 0.6667 0.3333 0.5000  6 Ni 3.16, 12 Al 3.19-3.33
Al: 0.0000 0.3009 0.5000  4 Ni 2.50, 4 Al 2.73-2.74
Al: 0.0000 0.5000 0.0000  4 Ni 2.53, 4 Al 2.73
Al: 0.0000 0.6991 0.5000  4 Ni 2.50, 4 Al 2.73-2.74
Al: 0.3009 0.0000 0.5000  4 Ni 2.50, 4 Al 2.73-2.74
Al: 0.3009 0.3009 0.5000  4 Ni 2.50, 4 Al 2.73-2.74
Al: 0.5000 0.0000 0.0000  4 Ni 2.53, 4 Al 2.73
Al: 0.5000 0.5000 0.0000  4 Ni 2.53, 4 Al 2.73
Al: 0.6991 0.0000 0.5000  4 Ni 2.50, 4 Al 2.73-2.74
Al: 0.6991 0.6991 0.5000  4 Ni 2.50, 4 Al 2.73-2.74
Ni: 0.1803 0.3607 0.0000  6 Al 2.50-2.53
Ni: 0.1803 0.8197 0.0000  6 Al 2.50-2.53
Ni: 0.3607 0.1803 0.0000  6 Al 2.50-2.53
Ni: 0.6393 0.8197 0.0000  6 Al 2.50-2.53
Ni: 0.8197 0.1803 0.0000  6 Al 2.50-2.53
Ni: 0.8197 0.6393 0.0000  6 Al 2.50-2.53


## GdAl9Ni3 (PBE)

Data for a geometry-optimized GdAl9Ni3 structure.

Properties
Formation energy = -6.817 eV/f.u.
SG = No. 155
V = 211.3 Å³/f.u.
Crystal system = trigonal

a = 10.0834 Å, b = 10.0834 Å, c = 10.0834 Å
α = 42.43°, β = 42.43°, γ = 42.43°
Last column: nearest neighbours and their distance in Å.
Fractional positions:
Gd: 0.1669 0.1669 0.1669  11 Al 3.00-3.17, 6 Ni 3.29-3.30
Gd: 0.8331 0.8331 0.8331  11 Al 3.00-3.17, 6 Ni 3.29-3.30
Al: 0.0000 0.6659 0.3341  2 Ni 2.33
Al: 0.0516 0.0516 0.0516  3 Ni 2.58, 7 Al 2.77-2.84
Al: 0.1028 0.4322 0.7617  3 Ni 2.44-2.47, 1 Al 2.71
Al: 0.2383 0.5678 0.8972  3 Ni 2.44-2.47, 1 Al 2.71
Al: 0.2821 0.2821 0.2821  3 Ni 2.58, 7 Al 2.78-2.87
Al: 0.2920 0.7080 0.5000  2 Ni 2.45, 2 Al 2.63
Al: 0.3341 0.0000 0.6659  2 Ni 2.33
Al: 0.3866 0.3866 0.3866  3 Ni 2.63, 7 Al 2.71-2.87
Al: 0.4322 0.7617 0.1028  3 Ni 2.44-2.47, 1 Al 2.71
Al: 0.5000 0.2920 0.7080  2 Ni 2.45, 2 Al 2.63
Al: 0.5678 0.8972 0.2383  3 Ni 2.44-2.47, 1 Al 2.71
Al: 0.6134 0.6134 0.6134  3 Ni 2.63, 7 Al 2.71-2.87
Al: 0.6659 0.3341 0.0000  2 Ni 2.33
Al: 0.7080 0.5000 0.2920  2 Ni 2.45, 2 Al 2.63
Al: 0.7179 0.7179 0.7179  3 Ni 2.58, 7 Al 2.78-2.87
Al: 0.7617 0.1028 0.4322  3 Ni 2.44-2.47, 1 Al 2.71
Al: 0.8972 0.2383 0.5678  3 Ni 2.44-2.47, 1 Al 2.71
Al: 0.9484 0.9484 0.9484  3 Ni 2.58, 7 Al 2.77-2.84
Ni: 0.0784 0.7580 0.4182  7 Al 2.33-2.58
Ni: 0.2420 0.9216 0.5818  7 Al 2.33-2.58
Ni: 0.4182 0.0784 0.7580  7 Al 2.33-2.58
Ni: 0.5818 0.2420 0.9216  7 Al 2.33-2.58
Ni: 0.7580 0.4182 0.0784  7 Al 2.33-2.58
Ni: 0.9216 0.5818 0.2420  7 Al 2.33-2.58


## GdAl22O34 (PBE)

Data for a geometry-optimized GdAl22O34 structure.

Properties
Formation energy = -193.368 eV/f.u.
SG = No. 2
V = 627.4 Å³/f.u.
Spin magnetization = 7.3 μB per cell
Crystal system = triclinic

a = 5.6475 Å, b = 9.8121 Å, c = 11.7855 Å
α = 98.09°, β = 103.83°, γ = 90.14°
Last column: nearest neighbours and their distance in Å.
Fractional positions:
Gd: 0.0000 0.0000 0.0000  2 O 2.41
Al: 0.0000 0.0000 0.5000  6 O 1.90-1.92
Al: 0.0246 0.6740 0.5486  4 O 1.81-1.83
Al: 0.1074 0.2044 0.7185  4 O 1.82-2.01
Al: 0.1412 0.5476 0.2832  4 O 1.81-2.01
Al: 0.1516 0.0502 0.2946  6 O 1.85-1.99
Al: 0.1736 0.7242 0.8505  4 O 1.74-1.81
Al: 0.3256 0.7738 0.1474  4 O 1.73-1.82
Al: 0.3564 0.4519 0.7173  4 O 1.81-2.00
Al: 0.3583 0.9517 0.7171  4 O 1.82-2.03
Al: 0.3942 0.2971 0.2853  4 O 1.81-2.03
Al: 0.4752 0.8239 0.4474  4 O 1.81-1.83
Al: 0.5000 0.5000 0.5000  6 O 1.90-1.92
Al: 0.5248 0.1761 0.5526  4 O 1.81-1.83
Al: 0.6058 0.7029 0.7147  4 O 1.81-2.03
Al: 0.6417 0.0483 0.2829  4 O 1.82-2.03
Al: 0.6436 0.5481 0.2827  4 O 1.81-2.00
Al: 0.6744 0.2262 0.8526  4 O 1.73-1.82
Al: 0.8264 0.2758 0.1495  4 O 1.74-1.81
Al: 0.8484 0.9498 0.7054  6 O 1.85-1.99
Al: 0.8588 0.4524 0.7168  4 O 1.81-2.01
Al: 0.8926 0.7956 0.2815  4 O 1.82-2.01
Al: 0.9754 0.3260 0.4514  4 O 1.81-1.83
O: 0.0458 0.8599 0.5985  3 Al 1.83-1.99
O: 0.0567 0.3513 0.6131  4 Al 1.83-2.01
O: 0.1071 0.7013 0.2098  3 Al 1.77-1.83
O: 0.1093 0.1948 0.2069  3 Al 1.81-1.86
O: 0.1359 0.0456 0.7887  3 Al 1.85-1.86
O: 0.1457 0.5474 0.7930  3 Al 1.76-1.84
O: 0.1869 0.9067 0.4001  3 Al 1.82-1.99
O: 0.2097 0.7861 0.9993  2 Al 1.73-1.74
O: 0.2142 0.4032 0.3993  2 Al 1.81-1.92
O: 0.2859 0.0943 0.6041  3 Al 1.83-2.04
O: 0.3131 0.5950 0.5986  2 Al 1.81-1.90
O: 0.3485 0.9559 0.2060  3 Al 1.82-1.86
O: 0.3585 0.4515 0.2156  3 Al 1.81
O: 0.3936 0.2992 0.7946  3 Al 1.77-1.85
O: 0.3937 0.7981 0.7889  3 Al 1.78-1.83
O: 0.4467 0.1478 0.3908  4 Al 1.83-2.03
O: 0.4515 0.6400 0.3996  2 Al 1.81-1.91
O: 0.5485 0.3600 0.6004  2 Al 1.81-1.91
O: 0.5533 0.8522 0.6092  4 Al 1.83-2.03
O: 0.6063 0.2019 0.2111  3 Al 1.78-1.83
O: 0.6064 0.7008 0.2054  3 Al 1.77-1.85
O: 0.6415 0.5485 0.7844  3 Al 1.81
O: 0.6515 0.0441 0.7940  3 Al 1.82-1.86
O: 0.6869 0.4050 0.4014  2 Al 1.81-1.90
O: 0.7141 0.9057 0.3959  3 Al 1.83-2.04
O: 0.7858 0.5968 0.6007  2 Al 1.81-1.92
O: 0.7903 0.2139 0.0007  2 Al 1.73-1.74
O: 0.8131 0.0933 0.5999  3 Al 1.82-1.99
O: 0.8543 0.4526 0.2070  3 Al 1.76-1.84
O: 0.8641 0.9544 0.2113  3 Al 1.85-1.86
O: 0.8907 0.8052 0.7931  3 Al 1.81-1.86
O: 0.8929 0.2987 0.7902  3 Al 1.77-1.83
O: 0.9433 0.6487 0.3869  4 Al 1.83-2.01
O: 0.9542 0.1401 0.4015  3 Al 1.83-1.99


## SrGd2Al2O7 (PBE)

Data for a geometry-optimized SrGd2Al2O7 structure.

Properties
Formation energy = -43.348 eV/f.u.
SG = No. 139
V = 139.2 Å³/f.u.
Spin magnetization = 14.0 μB per cell
Crystal system = tetragonal

a = 10.2759 Å, b = 10.2759 Å, c = 10.2759 Å
α = 159.01°, β = 159.01°, γ = 29.86°
Last column: nearest neighbours and their distance in Å.
Fractional positions:
Sr: 0.0000 0.0000 0.0000  12 O 2.65-2.79
Gd: 0.1817 0.1817 0.0000  5 O 2.27-2.42
Gd: 0.8183 0.8183 0.0000  5 O 2.27-2.42
Al: 0.4049 0.4049 0.0000  5 O 1.88-1.89
Al: 0.5951 0.5951 0.0000  5 O 1.88-1.89
O: 0.1045 0.6045 0.5000  2 Al 1.88
O: 0.2962 0.2962 0.0000  1 Al 2.16, 1 Gd 2.27
O: 0.3955 0.8955 0.5000  2 Al 1.88
O: 0.5000 0.5000 0.0000  2 Al 1.89
O: 0.6045 0.1045 0.5000  2 Al 1.88
O: 0.7038 0.7038 0.0000  1 Al 2.16, 1 Gd 2.27
O: 0.8955 0.3955 0.5000  2 Al 1.88


## GdAl3Pd2 (PBE)

Data for a geometry-optimized GdAl3Pd2 structure.

Properties
Formation energy = -5.097 eV/f.u.
SG = No. 191
V = 108.0 Å³/f.u.
Crystal system = hexagonal

a = 5.4347 Å, b = 5.4347 Å, c = 4.2218 Å
α = 90.00°, β = 90.00°, γ = 120.00°
Last column: nearest neighbours and their distance in Å.
Fractional positions:
Gd: 0.0000 0.0000 0.0000  6 Pd 3.14, 12 Al 3.44
Al: 0.0000 0.5000 0.5000  4 Pd 2.63, 4 Al 2.72
Al: 0.5000 0.0000 0.5000  4 Pd 2.63, 4 Al 2.72
Al: 0.5000 0.5000 0.5000  4 Pd 2.63, 4 Al 2.72
Pd: 0.3333 0.6667 0.0000  6 Al 2.63
Pd: 0.6667 0.3333 0.0000  6 Al 2.63


## GdAlPd (PBE)

Data for a geometry-optimized GdAlPd structure.

Properties
Formation energy = -2.575 eV/f.u.
SG = No. 189
V = 61.6 Å³/f.u.
Crystal system = hexagonal

a = 7.1657 Å, b = 7.1657 Å, c = 4.1533 Å
α = 90.00°, β = 90.00°, γ = 120.00°
Last column: nearest neighbours and their distance in Å.
Fractional positions:
Gd: 0.0000 0.5825 0.0000  5 Pd 2.99, 6 Al 3.24-3.33
Gd: 0.4175 0.4175 0.0000  5 Pd 2.99, 6 Al 3.24-3.33
Gd: 0.5825 0.0000 0.0000  5 Pd 2.99, 6 Al 3.24-3.33
Al: 0.0000 0.2348 0.5000  4 Pd 2.67-2.81, 2 Al 2.91
Al: 0.2348 0.0000 0.5000  4 Pd 2.67-2.81, 2 Al 2.91
Al: 0.7652 0.7652 0.5000  4 Pd 2.67-2.81, 2 Al 2.91
Pd: 0.0000 0.0000 0.0000  6 Al 2.67, 3 Gd 2.99
Pd: 0.3333 0.6667 0.5000  3 Al 2.81, 6 Gd 2.99
Pd: 0.6667 0.3333 0.5000  3 Al 2.81, 6 Gd 2.99


## Gd2Al6Si4Pt (PBE)

Data for a geometry-optimized Gd2Al6Si4Pt structure.

Properties
Formation energy = -6.860 eV/f.u.
SG = No. 166
V = 255.1 Å³/f.u.
Spin magnetization = 14.0 μB per cell
Crystal system = trigonal

a = 17.1802 Å, b = 17.1802 Å, c = 17.1802 Å
α = 13.91°, β = 13.91°, γ = 13.91°
Last column: nearest neighbours and their distance in Å.
Fractional positions:
Gd: 0.0664 0.0664 0.0664  6 Si 2.95-2.99
Gd: 0.9336 0.9336 0.9336  6 Si 2.95-2.99
Al: 0.1816 0.1816 0.1816  3 Pt 2.52, 1 Si 2.65
Al: 0.3149 0.3149 0.3149  4 Si 2.49-2.55
Al: 0.4504 0.4504 0.4504  1 Pt 2.53, 3 Si 2.56
Al: 0.5496 0.5496 0.5496  1 Pt 2.53, 3 Si 2.56
Al: 0.6851 0.6851 0.6851  4 Si 2.49-2.55
Al: 0.8184 0.8184 0.8184  3 Pt 2.52, 1 Si 2.65
Si: 0.2335 0.2335 0.2335  4 Al 2.56-2.65
Si: 0.3648 0.3648 0.3648  4 Al 2.49-2.55
Si: 0.6352 0.6352 0.6352  4 Al 2.49-2.55
Si: 0.7665 0.7665 0.7665  4 Al 2.56-2.65
Pt: 0.5000 0.5000 0.5000  8 Al 2.52-2.53